Density functional theory data (meta-GGA r2SCAN) for a geometry-optimized CeU2O6 structure.

Unit cell a=8.6291 b=8.6292 c=8.6287 alpha=154.30 beta=154.22 gamma=36.71
Last column: nearest neighbours and their distance in Å.
Atoms (fractional coordinates):
O (0.0878, 0.5876, 0.5002)  2 U 2.31, 2 Ce 2.40
O (0.9127, 0.4127, 0.5000)  2 U 2.32, 2 Ce 2.39
O (0.7499, 0.2500, 0.4999)  4 U 2.36-2.37
O (0.4129, 0.9129, 0.5001)  2 U 2.31, 2 Ce 2.40
O (0.2497, 0.7497, 0.4998)  4 U 2.36-2.37
O (0.5873, 0.0872, 0.5000)  2 U 2.31, 2 Ce 2.40
U (0.6657, 0.6658, 0.0000)  8 O 2.31-2.37
U (0.3341, 0.3341, 0.0000)  8 O 2.31-2.37
Ce (0.9999, 0.9999, 0.0001)  8 O 2.39-2.40

Computed properties:
Calculated density, Mg/m³: 9.77
Energy of formation, eV/f.u.: -34.027
VASP energy, eV/f.u.: -260.59


Density functional theory data (meta-GGA r2SCAN) for a geometry-optimized TbGe2Ir2 structure.

Unit cell a=4.2089 b=4.2089 c=10.0353 alpha=90.00 beta=90.00 gamma=90.00
Last column: nearest neighbours and their distance in Å.
Atoms (fractional coordinates):
Ir (0.5000, 0.0000, 0.3710)  5 Ge 2.40-2.47
Ir (0.0000, 0.0000, 0.0000)  4 Ge 2.49
Ir (0.0000, 0.5000, 0.6290)  5 Ge 2.40-2.47
Ir (0.5000, 0.5000, 0.0000)  4 Ge 2.49
Ge (0.0000, 0.5000, 0.8678)  5 Ir 2.40-2.49
Ge (0.5000, 0.5000, 0.5000)  4 Ir 2.47
Ge (0.0000, 0.0000, 0.5000)  4 Ir 2.47
Ge (0.5000, 0.0000, 0.1322)  5 Ir 2.40-2.49
Tb (0.0000, 0.5000, 0.2544)  8 Ir 3.20-3.31, 8 Ge 3.22-3.24
Tb (0.5000, 0.0000, 0.7456)  8 Ir 3.20-3.31, 8 Ge 3.22-3.24

Computed properties:
Calculated density, Mg/m³: 12.86
Energy of formation, eV/f.u.: -4.353
VASP energy, eV/f.u.: -168.04


Density functional theory data (meta-GGA r2SCAN) for a geometry-optimized Gd2CuAu structure.

Unit cell a=5.0382 b=5.0382 c=5.0382 alpha=60.00 beta=60.00 gamma=60.00
Last column: nearest neighbours and their distance in Å.
Atoms (fractional coordinates):
Gd (0.2500, 0.2500, 0.2500)  4 Cu 3.09, 4 Au 3.09
Gd (0.7500, 0.7500, 0.7500)  4 Cu 3.09, 4 Au 3.09
Cu (0.0000, 0.0000, 0.0000)  8 Gd 3.09
Au (0.5000, 0.5000, 0.5000)  8 Gd 3.09

Computed properties:
Calculated density, Mg/m³: 10.56
Energy of formation, eV/f.u.: -1.940
VASP energy, eV/f.u.: -150.17